(1)
The following is a PBE calculation of a relaxed structure of TiH6O2F6, from Materials Project.

```
data_TiH6O2F6
_chemical_formula_sum 'Ti1 H6 O2 F6'
_cell_length_a 5.6274
_cell_length_b 5.6274
_cell_length_c 5.5440
_cell_angle_alpha 90.00
_cell_angle_beta 90.00
_cell_angle_gamma 120.00
_symmetry_space_group_name_H-M 'P 3 2 1'
_symmetry_Int_Tables_number 150
loop_
_symmetry_equiv_pos_as_xyz
'x,y,z'
'-y,x-y,z'
'-x+y,-x,z'
'y,x,-z'
'x-y,-y,-z'
'-x,-x+y,-z'
loop_
_atom_site_label
_atom_site_fract_x
_atom_site_fract_y
_atom_site_fract_z
Ti1 0.0000 0.0000 0.0000
H1 0.1603 0.4916 0.2775
O1 0.3333 0.6667 0.3266
F1 0.0864 0.3005 0.7913
```

=====

(2)
The following is a PBE calculation of a relaxed structure of TiH14O6F6, from Materials Project.

```
data_TiH14O6F6
_chemical_formula_sum 'Ti2 H28 O12 F12'
_cell_length_a 6.087
_cell_length_b 15.696
_cell_length_c 6.783
_cell_angle_alpha 90.00
_cell_angle_beta 104.90
_cell_angle_gamma 90.00
_symmetry_space_group_name_H-M 'P 1 21/c 1'
_symmetry_Int_Tables_number 14
loop_
_symmetry_equiv_pos_as_xyz
'x,y,z'
'-x,-y,-z'
'-x,y+1/2,-z+1/2'
'x,-y+1/2,z+1/2'
loop_
_atom_site_label
_atom_site_fract_x
_atom_site_fract_y
_atom_site_fract_z
Ti1 0.000 0.000 0.000
H1 0.182 0.203 0.695
H2 0.184 0.703 0.455
H3 0.259 0.195 0.626
H4 0.324 0.560 0.245
H5 0.341 0.605 0.219
H6 0.412 0.546 0.779
H7 0.466 0.081 0.904
O1 0.069 0.042 0.285
O2 0.189 0.605 0.563
O3 0.422 0.596 0.688
F1 0.209 0.749 0.873
F2 0.271 0.057 0.974
F3 0.311 0.027 0.390
```

=====

(3)
The following is a PBE calculation of a relaxed structure of TiZnH12O6F6, from Materials Project.

```
data_TiZnH12O6F6
_chemical_formula_sum 'Ti3 Zn3 H36 O18 F18'
_cell_length_a 9.6606
_cell_length_b 9.6606
_cell_length_c 10.1425
_cell_angle_alpha 90.00
_cell_angle_beta 90.00
_cell_angle_gamma 120.00
_symmetry_space_group_name_H-M 'R -3'
_symmetry_Int_Tables_number 148
_symmetry_space_group_name_Hall '-R 3'
loop_
_atom_site_label
_atom_site_fract_x
_atom_site_fract_y
_atom_site_fract_z
Ti1 0.0000 0.0000 0.0000
Zn1 0.0000 0.0000 0.5000
H1 0.0049 0.1768 0.2832
H2 0.0390 0.5943 0.2646
O1 0.0042 0.8233 0.6201
F1 0.0242 0.1690 0.1101
```

energy above the most stable polymorph in this dataset	0	meV per atom

=====

(4)
The following is a PBE calculation of a relaxed structure of TiZnH12O6F6, from Materials Project.

```
data_TiZnH12O6F6
_chemical_formula_sum 'Ti3 Zn3 H36 O18 F18'
_cell_length_a 9.3898
_cell_length_b 9.3898
_cell_length_c 9.5658
_cell_angle_alpha 90.00
_cell_angle_beta 90.00
_cell_angle_gamma 120.00
_symmetry_space_group_name_H-M 'R -3'
_symmetry_Int_Tables_number 148
_symmetry_space_group_name_Hall '-R 3'
loop_
_atom_site_label
_atom_site_fract_x
_atom_site_fract_y
_atom_site_fract_z
Ti1 0.0000 0.0000 0.0000
Zn1 0.0000 0.0000 0.5000
H1 0.0357 0.1974 0.2789
H2 0.0415 0.5527 0.2959
O1 0.0083 0.8188 0.6256
F1 0.0399 0.8578 0.1130
```

energy above the most stable polymorph in this dataset	20	meV per atom

=====

(5)
The following is a PBE calculation of a relaxed structure of ZnH8O4F2, from Materials Project.

```
data_ZnH8O4F2
_chemical_formula_sum 'Zn4 H32 O16 F8'
_cell_length_a 12.700
_cell_length_b 5.347
_cell_length_c 7.590
_cell_angle_alpha 90.00
_cell_angle_beta 90.00
_cell_angle_gamma 90.00
_symmetry_space_group_name_H-M 'P c a 21'
_symmetry_Int_Tables_number 29
loop_
_symmetry_equiv_pos_as_xyz
'x,y,z'
'-x,-y,z+1/2'
'-x+1/2,y,z+1/2'
'x+1/2,-y,z'
loop_
_atom_site_label
_atom_site_fract_x
_atom_site_fract_y
_atom_site_fract_z
Zn1 0.124 0.205 0.000
H1 0.017 0.493 0.237
H2 0.076 0.947 0.389
H3 0.078 0.931 0.601
H4 0.118 0.646 0.179
H5 0.140 0.752 0.829
H6 0.174 0.386 0.406
H7 0.175 0.369 0.616
H8 0.233 0.934 0.766
O1 0.033 0.917 0.495
O2 0.093 0.472 0.203
O3 0.157 0.930 0.804
O4 0.217 0.336 0.509
F1 0.103 0.459 0.796
F2 0.150 0.943 0.201
```

=====

(6)
The following is a PBE calculation of a relaxed structure of ZrH6O2F6, from Materials Project.

```
data_ZrH6O2F6
_chemical_formula_sum 'Zr4 H24 O8 F24'
_cell_length_a 7.375
_cell_length_b 12.780
_cell_length_c 6.819
_cell_angle_alpha 90.00
_cell_angle_beta 112.90
_cell_angle_gamma 90.00
_symmetry_space_group_name_H-M 'C 1 2/c 1'
_symmetry_Int_Tables_number 15
loop_
_symmetry_equiv_pos_as_xyz
'x,y,z'
'-x,-y,-z'
'-x,y,-z+1/2'
'x,-y,z+1/2'
'x+1/2,y+1/2,z'
'-x+1/2,-y+1/2,-z'
'-x+1/2,y+1/2,-z+1/2'
'x+1/2,-y+1/2,z+1/2'
loop_
_atom_site_label
_atom_site_fract_x
_atom_site_fract_y
_atom_site_fract_z
Zr1 0.000 0.047 0.250
H1 0.081 0.322 0.564
H2 0.117 0.267 0.126
H3 0.126 0.397 0.056
O1 0.066 0.322 0.009
F1 0.024 0.090 0.562
F2 0.188 0.184 0.300
F3 0.212 0.496 0.104
```

=====

(7)
The following is a PBE calculation of a relaxed structure of PHF2, from Materials Project.

```
data_PHF2
_chemical_formula_sum 'P4 H4 F8'
_cell_length_a 4.682
_cell_length_b 6.537
_cell_length_c 8.128
_cell_angle_alpha 90.00
_cell_angle_beta 90.00
_cell_angle_gamma 90.00
_symmetry_space_group_name_H-M 'P 21 21 21'
_symmetry_Int_Tables_number 19
loop_
_symmetry_equiv_pos_as_xyz
'x,y,z'
'-x+1/2,-y,z+1/2'
'x+1/2,-y+1/2,-z'
'-x,y+1/2,-z+1/2'
loop_
_atom_site_label
_atom_site_fract_x
_atom_site_fract_y
_atom_site_fract_z
P1 0.227 0.089 0.083
H1 0.026 0.949 0.013
F1 0.054 0.084 0.650
F2 0.054 0.124 0.254
```

piezoelectric modulus e_max	0.1	C/m²

=====

(8)
The following is a PBE calculation of a relaxed structure of PHPb2F10, from Materials Project.

```
data_PHPb2F10
_chemical_formula_sum 'P1 H1 Pb2 F10'
_cell_length_a 4.658
_cell_length_b 4.843
_cell_length_c 8.930
_cell_angle_alpha 86.18
_cell_angle_beta 76.64
_cell_angle_gamma 81.79
_symmetry_space_group_name_H-M 'P -1'
_symmetry_Int_Tables_number 2
loop_
_symmetry_equiv_pos_as_xyz
'x,y,z'
'-x,-y,-z'
loop_
_atom_site_label
_atom_site_fract_x
_atom_site_fract_y
_atom_site_fract_z
P1 0.000 0.000 0.000
H1 0.500 0.000 0.500
Pb1 0.325 0.532 0.314
F1 0.067 0.097 0.160
F2 0.156 0.259 0.904
F3 0.211 0.521 0.585
F4 0.320 0.799 0.966
F5 0.388 0.027 0.397
```

=====

(9)
The following is a PBE calculation of a relaxed structure of SbPH2F10, from Materials Project.

```
data_SbPH2F10
_chemical_formula_sum 'Sb4 P4 H8 F40'
_cell_length_a 5.790
_cell_length_b 10.816
_cell_length_c 13.224
_cell_angle_alpha 90.00
_cell_angle_beta 100.99
_cell_angle_gamma 90.00
_symmetry_space_group_name_H-M 'P 1 21/c 1'
_symmetry_Int_Tables_number 14
loop_
_symmetry_equiv_pos_as_xyz
'x,y,z'
'-x,-y,-z'
'-x,y+1/2,-z+1/2'
'x,-y+1/2,z+1/2'
loop_
_atom_site_label
_atom_site_fract_x
_atom_site_fract_y
_atom_site_fract_z
Sb1 0.112 0.246 0.464
P1 0.433 0.536 0.786
H1 0.281 0.606 0.384
H2 0.371 0.527 0.159
F1 0.010 0.183 0.830
F2 0.112 0.615 0.070
F3 0.117 0.659 0.480
F4 0.224 0.174 0.598
F5 0.253 0.047 0.219
F6 0.302 0.603 0.859
F7 0.309 0.596 0.316
F8 0.338 0.125 0.997
F9 0.339 0.146 0.411
F10 0.495 0.635 0.714
```

energy above the most stable polymorph in this dataset	0	meV per atom

=====

(10)
The following is a PBE calculation of a relaxed structure of SbPH2F10, from Materials Project.

```
data_SbPH2F10
_chemical_formula_sum 'Sb4 P4 H8 F40'
_cell_length_a 5.587
_cell_length_b 11.298
_cell_length_c 13.792
_cell_angle_alpha 90.00
_cell_angle_beta 98.40
_cell_angle_gamma 90.00
_symmetry_space_group_name_H-M 'P 1 21/c 1'
_symmetry_Int_Tables_number 14
loop_
_symmetry_equiv_pos_as_xyz
'x,y,z'
'-x,-y,-z'
'-x,y+1/2,-z+1/2'
'x,-y+1/2,z+1/2'
loop_
_atom_site_label
_atom_site_fract_x
_atom_site_fract_y
_atom_site_fract_z
Sb1 0.153 0.247 0.475
P1 0.420 0.561 0.786
H1 0.238 0.593 0.200
H2 0.304 0.641 0.486
F1 0.060 0.175 0.855
F2 0.111 0.639 0.051
F3 0.126 0.630 0.478
F4 0.203 0.212 0.610
F5 0.228 0.023 0.222
F6 0.235 0.635 0.840
F7 0.242 0.606 0.268
F8 0.372 0.136 0.435
F9 0.410 0.135 0.004
F10 0.452 0.654 0.702
```

energy above the most stable polymorph in this dataset	50	meV per atom

=====

| no. | magnetization (Bohr magnetons per cell) | energy of formation from the pure elements (eV/atom) | mass density (Mg/m³) |
| --- | --- | --- | --- |
| 1 | 0.00 | -2.240 | 2.183 |
| 2 | 0.00 | -1.004 | 1.442 |
| 3 | 0.05 | -1.918 | 2.038 |
| 4 | 0.00 | -1.898 | 2.287 |
| 5 | 0.00 | -1.541 | 2.261 |
| 6 | 0.01 | -2.374 | 2.729 |
| 7 | 0.00 | -1.669 | 1.868 |
| 8 | 0.00 | -2.698 | 5.450 |
| 9 | 0.05 | -2.391 | 2.817 |
| 10 | 0.00 | -2.341 | 2.659 |